Record 1
Compound: BaY2F8
Source: the Materials Project database
Functional: PBE
Structure: optimized geometry

abc: 5.455 5.455 6.370
angles: 90.00 90.00 90.00
Positions (direct):
Ba (0.500, 0.500, 0.500)
Y (0.500, 0.000, 0.000)
Y (0.000, 0.500, 0.000)
F (0.746, 0.746, 0.201)
F (0.746, 0.254, 0.799)
F (0.746, 0.746, 0.799)
F (0.746, 0.254, 0.201)
F (0.254, 0.746, 0.201)
F (0.254, 0.746, 0.799)
F (0.254, 0.254, 0.201)
F (0.254, 0.254, 0.799)

Space group = P4/mmm, No. 123
Relative energy among the computed polymorphs = 77.3 kJ/mol of formula units
Total DFT energy (no corrections) = -73.9 eV per cell


Record 2
Compound: BeW2Cl
Source: the Materials Project database
Functional: PBE
Structure: optimized geometry

abc: 4.242 4.242 4.242
angles: 60.00 60.00 60.00
Positions (direct):
Be (0.000, 0.000, 0.000)
W (0.750, 0.750, 0.750)
W (0.250, 0.250, 0.250)
Cl (0.500, 0.500, 0.500)

Space group = Fm-3m, No. 225
Total DFT energy (no corrections) = -27.4 eV per cell


Record 3
Compound: Ho3Sc
Source: the Materials Project database
Functional: PBE
Structure: optimized geometry

abc: 7.057 7.057 5.514
angles: 90.00 90.00 120.00
Positions (direct):
Ho (0.169, 0.338, 0.250)
Ho (0.662, 0.831, 0.250)
Ho (0.169, 0.831, 0.250)
Ho (0.831, 0.662, 0.750)
Ho (0.338, 0.169, 0.750)
Ho (0.831, 0.169, 0.750)
Sc (0.333, 0.667, 0.750)
Sc (0.667, 0.333, 0.250)

Space group = P6_3/mmc, No. 194
Total DFT energy (no corrections) = -40.0 eV per cell


Record 4
Compound: Na6MgTi3Si2P4O24
Source: the Materials Project database
Functional: PBE
Structure: optimized geometry

abc: 15.421 8.875 8.882
angles: 90.36 124.78 90.00
Positions (direct):
Na (0.250, 0.748, 0.998)
Na (0.748, 0.747, 0.490)
Na (0.750, 0.248, 0.998)
Na (0.248, 0.247, 0.490)
Na (0.510, 0.104, 0.771)
Na (0.498, 0.883, 0.236)
Na (0.010, 0.604, 0.771)
Na (0.998, 0.383, 0.236)
Na (0.801, 0.932, 0.222)
Na (0.185, 0.071, 0.791)
Na (0.301, 0.432, 0.222)
Na (0.685, 0.571, 0.791)
Mg (0.104, 0.245, 0.063)
Mg (0.604, 0.745, 0.063)
Ti (0.103, 0.745, 0.558)
Ti (0.892, 0.755, 0.935)
Ti (0.898, 0.255, 0.444)
Ti (0.603, 0.245, 0.558)
Ti (0.392, 0.255, 0.935)
Ti (0.398, 0.755, 0.444)
Si (0.649, 0.898, 0.752)
Si (0.354, 0.101, 0.253)
Si (0.149, 0.398, 0.752)
Si (0.854, 0.601, 0.253)
P (0.996, 0.958, 0.745)
P (0.001, 0.040, 0.256)
P (0.496, 0.458, 0.745)
P (0.501, 0.540, 0.256)
P (0.356, 0.895, 0.760)
P (0.645, 0.114, 0.244)
P (0.856, 0.395, 0.760)
P (0.145, 0.614, 0.244)
O (0.156, 0.581, 0.728)
O (0.852, 0.571, 0.752)
O (0.854, 0.415, 0.263)
O (0.152, 0.442, 0.254)
O (0.656, 0.081, 0.728)
O (0.352, 0.071, 0.752)
O (0.354, 0.915, 0.263)
O (0.652, 0.942, 0.254)
O (0.428, 0.552, 0.566)
O (0.565, 0.558, 0.910)
O (0.564, 0.445, 0.432)
O (0.440, 0.429, 0.086)
O (0.928, 0.052, 0.566)
O (0.065, 0.058, 0.910)
O (0.064, 0.945, 0.432)
O (0.940, 0.929, 0.086)
O (0.253, 0.841, 0.737)
O (0.747, 0.812, 0.761)
O (0.741, 0.179, 0.254)
O (0.262, 0.185, 0.249)
O (0.753, 0.341, 0.737)
O (0.247, 0.312, 0.761)
O (0.241, 0.679, 0.254)
O (0.762, 0.685, 0.249)
O (0.361, 0.845, 0.594)
O (0.648, 0.874, 0.928)
O (0.644, 0.171, 0.409)
O (0.357, 0.140, 0.071)
O (0.861, 0.345, 0.594)
O (0.148, 0.374, 0.928)
O (0.144, 0.671, 0.409)
O (0.857, 0.640, 0.071)
O (0.452, 0.837, 0.937)
O (0.538, 0.822, 0.569)
O (0.542, 0.168, 0.064)
O (0.470, 0.161, 0.430)
O (0.952, 0.337, 0.937)
O (0.038, 0.322, 0.569)
O (0.042, 0.668, 0.064)
O (0.970, 0.661, 0.430)
O (0.075, 0.854, 0.733)
O (0.922, 0.848, 0.756)
O (0.912, 0.129, 0.252)
O (0.074, 0.149, 0.247)
O (0.575, 0.354, 0.733)
O (0.422, 0.348, 0.756)
O (0.412, 0.629, 0.252)
O (0.574, 0.649, 0.247)

Relative energy among the computed polymorphs = 11.7 kJ/mol of formula units
Total DFT energy (no corrections) = -571.0 eV per cell